No. 1
Material: Na5Hf3ZnSiP5O24
Method: DFT, PBE-GGA
State: relaxed

Structure (CIF):
```
data_Na5Hf3ZnSiP5O24
_space_group_name_H-M_alt 'P 1'
_space_group_IT_number 1
_cell_length_a 9.0210
_cell_length_b 9.0452
_cell_length_c 22.6412
_cell_angle_alpha 90.21
_cell_angle_beta 90.01
_cell_angle_gamma 119.90
loop_
_space_group_symop_operation_xyz
'x,y,z'
loop_
_atom_site_label
_atom_site_type_symbol
_atom_site_fract_x
_atom_site_fract_y
_atom_site_fract_z
_atom_site_occupancy
Na1 Na 0.0000 0.0000 0.0000 1
Na2 Na 0.0040 0.6560 0.4961 1
Na3 Na 0.0379 0.3346 0.9151 1
Na4 Na 0.0431 0.3465 0.4133 1
Na5 Na 0.0636 0.6749 0.8386 1
Na6 Na 0.3712 0.9946 0.2563 1
Na7 Na 0.3774 0.0133 0.7444 1
Na8 Na 0.3909 0.6484 0.9997 1
Na9 Na 0.3945 0.3881 0.4959 1
Na10 Na 0.4027 0.3444 0.1773 1
Na11 Na 0.6698 0.3375 0.6661 1
Na12 Na 0.7123 0.6931 0.5825 1
Na13 Na 0.7205 0.6936 0.0904 1
Na14 Na 0.7346 0.9982 0.4967 1
Na15 Na 0.7440 0.3960 0.9957 1
Hf1 Hf 0.0443 0.3451 0.0711 1
Hf2 Hf 0.0447 0.3422 0.7725 1
Hf3 Hf 0.0468 0.3464 0.5693 1
Hf4 Hf 0.0477 0.3482 0.2736 1
Hf5 Hf 0.3767 0.0059 0.1111 1
Hf6 Hf 0.3767 0.0131 0.3998 1
Hf7 Hf 0.3854 0.0220 0.8970 1
Hf8 Hf 0.7074 0.6805 0.7353 1
Hf9 Hf 0.7170 0.6887 0.2367 1
Zn1 Zn 0.3705 0.0046 0.6049 1
Zn2 Zn 0.7103 0.6778 0.9289 1
Zn3 Zn 0.7119 0.6830 0.4288 1
Si1 Si 0.0405 0.0502 0.1697 1
Si2 Si 0.3399 0.6400 0.1712 1
Si3 Si 0.7126 0.3875 0.8382 1
P1 P 0.0012 0.9735 0.8404 1
P2 P 0.0044 0.6780 0.3411 1
P3 P 0.0477 0.6443 0.6718 1
P4 P 0.0861 0.0122 0.5060 1
P5 P 0.0859 0.7209 0.0028 1
P6 P 0.3410 0.3460 0.6700 1
P7 P 0.3763 0.3046 0.0052 1
P8 P 0.3794 0.7237 0.5059 1
P9 P 0.4173 0.3854 0.3392 1
P10 P 0.4171 0.6785 0.8402 1
P11 P 0.6692 0.3056 0.5076 1
P12 P 0.6708 0.0146 0.0034 1
P13 P 0.7125 0.9767 0.3406 1
P14 P 0.7492 0.0509 0.6694 1
P15 P 0.7539 0.3488 0.1708 1
O1 O 0.0144 0.1356 0.1085 1
O2 O 0.0191 0.5252 0.6167 1
O3 O 0.0262 0.5198 0.3326 1
O4 O 0.0336 0.1557 0.8295 1
O5 O 0.0595 0.5474 0.7270 1
O6 O 0.0687 0.5398 0.0080 1
O7 O 0.0731 0.1797 0.2240 1
O8 O 0.0734 0.1816 0.5101 1
O9 O 0.1658 0.9831 0.5605 1
O10 O 0.1778 0.9797 0.8435 1
O11 O 0.1859 0.8350 0.0562 1
O12 O 0.1859 0.8417 0.3436 1
O13 O 0.1932 0.8018 0.9462 1
O14 O 0.2024 0.0439 0.4509 1
O15 O 0.2041 0.8185 0.6683 1
O16 O 0.2078 0.3163 0.0071 1
O17 O 0.2100 0.5418 0.5108 1
O18 O 0.2154 0.5438 0.2262 1
O19 O 0.2193 0.0443 0.1638 1
O20 O 0.2298 0.3342 0.7235 1
O21 O 0.2348 0.3617 0.3323 1
O22 O 0.2350 0.5215 0.8306 1
O23 O 0.2518 0.5245 0.1105 1
O24 O 0.2536 0.3664 0.6132 1
O25 O 0.3455 0.8074 0.4510 1
O26 O 0.3515 0.1876 0.9510 1
O27 O 0.3661 0.8307 0.1653 1
O28 O 0.3667 0.1923 0.6680 1
O29 O 0.3885 0.8357 0.8427 1
O30 O 0.3958 0.2176 0.0608 1
O31 O 0.3994 0.2041 0.3433 1
O32 O 0.4121 0.8336 0.5605 1
O33 O 0.4877 0.6542 0.8984 1
O34 O 0.4948 0.4855 0.3964 1
O35 O 0.5199 0.5128 0.6748 1
O36 O 0.5227 0.6448 0.1777 1
O37 O 0.5265 0.4734 0.2836 1
O38 O 0.5313 0.6924 0.4977 1
O39 O 0.5326 0.4836 0.0007 1
O40 O 0.5340 0.7042 0.7868 1
O41 O 0.5416 0.1979 0.8419 1
O42 O 0.5472 0.9915 0.3436 1
O43 O 0.5614 0.9969 0.0580 1
O44 O 0.5679 0.2302 0.5644 1
O45 O 0.5720 0.1913 0.1637 1
O46 O 0.5772 0.0434 0.6673 1
O47 O 0.5781 0.1844 0.4539 1
O48 O 0.5803 0.0383 0.9487 1
O49 O 0.6904 0.8590 0.2871 1
O50 O 0.6909 0.4845 0.7804 1
O51 O 0.6920 0.8571 0.9997 1
O52 O 0.6972 0.4866 0.4995 1
O53 O 0.7296 0.5051 0.1775 1
O54 O 0.7355 0.8745 0.6759 1
O55 O 0.7377 0.9048 0.3985 1
O56 O 0.7539 0.5008 0.8981 1
O57 O 0.8412 0.3214 0.2237 1
O58 O 0.8489 0.1824 0.0066 1
O59 O 0.8503 0.1686 0.7225 1
O60 O 0.8522 0.3191 0.5102 1
O61 O 0.8592 0.1381 0.6129 1
O62 O 0.8588 0.3726 0.1130 1
O63 O 0.8681 0.1567 0.3313 1
O64 O 0.8764 0.6492 0.6761 1
O65 O 0.8774 0.8608 0.1772 1
O66 O 0.8842 0.3679 0.8295 1
O67 O 0.9031 0.8605 0.4986 1
O68 O 0.9041 0.9076 0.8985 1
O69 O 0.9072 0.8527 0.7877 1
O70 O 0.9085 0.7046 0.0022 1
O71 O 0.9089 0.6571 0.3991 1
O72 O 0.9090 0.6982 0.2876 1
```

Output
ΔE_f in meV/atom: -3005
Calculated density in g/cm³: 3.990

***

No. 2
Material: Na8Hf3ZnSi4P2O24
Method: DFT, PBE-GGA
State: relaxed

Structure (CIF):
```
data_Na8Hf3ZnSi4P2O24
_space_group_name_H-M_alt 'P 1'
_space_group_IT_number 1
_cell_length_a 9.1905
_cell_length_b 9.1952
_cell_length_c 22.5131
_cell_angle_alpha 90.08
_cell_angle_beta 90.13
_cell_angle_gamma 119.85
loop_
_space_group_symop_operation_xyz
'x,y,z'
loop_
_atom_site_label
_atom_site_type_symbol
_atom_site_fract_x
_atom_site_fract_y
_atom_site_fract_z
_atom_site_occupancy
Na1 Na 0.0000 0.0000 0.0000 1
Na2 Na 0.0006 0.2815 0.4933 1
Na3 Na 0.0231 0.3513 0.8413 1
Na4 Na 0.0252 0.9563 0.3380 1
Na5 Na 0.2784 0.6014 0.3396 1
Na6 Na 0.2809 0.9522 0.8403 1
Na7 Na 0.3226 0.3079 0.4148 1
Na8 Na 0.3275 0.3049 0.9216 1
Na9 Na 0.3275 0.9391 0.1649 1
Na10 Na 0.3470 0.6891 0.6685 1
Na11 Na 0.3482 0.9933 0.4977 1
Na12 Na 0.3517 0.6335 0.0000 1
Na13 Na 0.6320 0.6405 0.4988 1
Na14 Na 0.6333 0.2816 0.0003 1
Na15 Na 0.6558 0.9638 0.5890 1
Na16 Na 0.6610 0.9720 0.0841 1
Na17 Na 0.6807 0.6116 0.8403 1
Na18 Na 0.6817 0.3575 0.3344 1
Na19 Na 0.6913 0.2922 0.6710 1
Na20 Na 0.6950 0.6698 0.1663 1
Na21 Na 0.9480 0.9361 0.6715 1
Na22 Na 0.9630 0.3076 0.1663 1
Na23 Na 0.9909 0.6345 0.2555 1
Na24 Na 0.9941 0.6412 0.7562 1
Hf1 Hf 0.3277 0.3081 0.2689 1
Hf2 Hf 0.3285 0.3054 0.0652 1
Hf3 Hf 0.3301 0.3068 0.5651 1
Hf4 Hf 0.3316 0.3038 0.7677 1
Hf5 Hf 0.6614 0.9713 0.9355 1
Hf6 Hf 0.6637 0.9670 0.4354 1
Hf7 Hf 0.6675 0.9732 0.2310 1
Hf8 Hf 0.9946 0.6382 0.1008 1
Hf9 Hf 0.9980 0.6462 0.6017 1
Zn1 Zn 0.6538 0.9641 0.7328 1
Zn2 Zn 0.9951 0.6385 0.9124 1
Zn3 Zn 0.9961 0.6383 0.4008 1
Si1 Si 0.0353 0.0104 0.1668 1
Si2 Si 0.2879 0.6380 0.4981 1
Si3 Si 0.2886 0.9332 0.9974 1
Si4 Si 0.3275 0.6005 0.1666 1
Si5 Si 0.3295 0.0093 0.6666 1
Si6 Si 0.6232 0.3055 0.1671 1
Si7 Si 0.6263 0.6012 0.6671 1
Si8 Si 0.6624 0.6739 0.3333 1
Si9 Si 0.6996 0.6369 0.9971 1
Si10 Si 0.9582 0.2689 0.3339 1
Si11 Si 0.9961 0.3445 0.9972 1
Si12 Si 0.9965 0.9338 0.4976 1
P1 P 0.0377 0.3075 0.6665 1
P2 P 0.3662 0.6762 0.8306 1
P3 P 0.3724 0.9751 0.3326 1
P4 P 0.6613 0.2635 0.8300 1
P5 P 0.7012 0.3454 0.4994 1
P6 P 0.9549 0.9742 0.8299 1
O1 O 0.0164 0.8244 0.1611 1
O2 O 0.0232 0.4688 0.6613 1
O3 O 0.0357 0.4575 0.9381 1
O4 O 0.0363 0.8568 0.4396 1
O5 O 0.1219 0.1294 0.1089 1
O6 O 0.1271 0.2865 0.6115 1
O7 O 0.1329 0.1413 0.8284 1
O8 O 0.1411 0.2753 0.3304 1
O9 O 0.1507 0.3346 0.7221 1
O10 O 0.1545 0.0990 0.2250 1
O11 O 0.1578 0.8232 0.6622 1
O12 O 0.1591 0.3181 0.0055 1
O13 O 0.1586 0.6165 0.1613 1
O14 O 0.1597 0.1239 0.5068 1
O15 O 0.1711 0.5957 0.4398 1
O16 O 0.1754 0.8600 0.9380 1
O17 O 0.1892 0.6532 0.8354 1
O18 O 0.1969 0.6645 0.5573 1
O19 O 0.1990 0.8185 0.3342 1
O20 O 0.2027 0.8122 0.0556 1
O21 O 0.2953 0.1001 0.7244 1
O22 O 0.2970 0.4795 0.2243 1
O23 O 0.3148 0.1225 0.0057 1
O24 O 0.3178 0.4755 0.5062 1
O25 O 0.3497 0.1266 0.6090 1
O26 O 0.3531 0.4972 0.8283 1
O27 O 0.3602 0.1379 0.3291 1
O28 O 0.3603 0.5137 0.1087 1
O29 O 0.4475 0.7793 0.7746 1
O30 O 0.4643 0.9575 0.2777 1
O31 O 0.4735 0.8115 0.4955 1
O32 O 0.4768 0.9515 0.9919 1
O33 O 0.4799 0.7635 0.8862 1
O34 O 0.4816 0.9990 0.3891 1
O35 O 0.4906 0.4886 0.3302 1
O36 O 0.4937 0.2752 0.8281 1
O37 O 0.4935 0.7878 0.1721 1
O38 O 0.4974 0.9938 0.6699 1
O39 O 0.5049 0.2749 0.1088 1
O40 O 0.5067 0.5077 0.6092 1
O41 O 0.5106 0.4741 0.0054 1
O42 O 0.5211 0.3214 0.5080 1
O43 O 0.5299 0.4781 0.7246 1
O44 O 0.5338 0.3354 0.2251 1
O45 O 0.6306 0.7653 0.3915 1
O46 O 0.6358 0.1522 0.8860 1
O47 O 0.6404 0.1363 0.1714 1
O48 O 0.6490 0.7874 0.6702 1
O49 O 0.6808 0.1667 0.4952 1
O50 O 0.6813 0.7914 0.2754 1
O51 O 0.6819 0.8072 0.9917 1
O52 O 0.6826 0.1803 0.7743 1
O53 O 0.7711 0.4517 0.4439 1
O54 O 0.7731 0.5973 0.9379 1
O55 O 0.8077 0.6056 0.6627 1
O56 O 0.8086 0.4733 0.1613 1
O57 O 0.8134 0.4290 0.5552 1
O58 O 0.8132 0.4412 0.8348 1
O59 O 0.8205 0.6722 0.0556 1
O60 O 0.8262 0.1568 0.9916 1
O61 O 0.8266 0.9532 0.4956 1
O62 O 0.8306 0.6597 0.3361 1
O63 O 0.8404 0.1728 0.2757 1
O64 O 0.8479 0.9917 0.1710 1
O65 O 0.8512 0.9545 0.7741 1
O66 O 0.8637 0.1489 0.3921 1
O67 O 0.8637 0.1511 0.6699 1
O68 O 0.8675 0.9973 0.8860 1
O69 O 0.9611 0.4306 0.0555 1
O70 O 0.9628 0.8125 0.5566 1
O71 O 0.9772 0.4534 0.3353 1
O72 O 0.9796 0.8209 0.8343 1
```

Output
ΔE_f in meV/atom: -2988
Calculated density in g/cm³: 4.055

***

No. 3
Material: Na3Hf2Zr2SiP5O24
Method: DFT, PBE-GGA
State: relaxed

Structure (CIF):
```
data_Na3Hf2Zr2SiP5O24
_space_group_name_H-M_alt 'P 1'
_space_group_IT_number 1
_cell_length_a 8.9806
_cell_length_b 9.0042
_cell_length_c 22.9367
_cell_angle_alpha 90.03
_cell_angle_beta 90.02
_cell_angle_gamma 119.90
loop_
_space_group_symop_operation_xyz
'x,y,z'
loop_
_atom_site_label
_atom_site_type_symbol
_atom_site_fract_x
_atom_site_fract_y
_atom_site_fract_z
_atom_site_occupancy
Na1 Na 0.0000 0.0000 0.0000 1
Na2 Na 0.0084 0.0200 0.5009 1
Na3 Na 0.0329 0.6997 0.4155 1
Na4 Na 0.3103 0.6417 0.8344 1
Na5 Na 0.3468 0.6559 0.3332 1
Na6 Na 0.3591 0.9952 0.2544 1
Na7 Na 0.6397 0.0043 0.7473 1
Na8 Na 0.6751 0.3534 0.6647 1
Na9 Na 0.6926 0.3607 0.1664 1
Hf1 Hf 0.0002 0.0017 0.3537 1
Hf2 Hf 0.0022 0.0026 0.6457 1
Hf3 Hf 0.0039 0.0043 0.8543 1
Hf4 Hf 0.6599 0.3257 0.5201 1
Hf5 Hf 0.6685 0.3330 0.3126 1
Hf6 Hf 0.9967 0.9947 0.1461 1
Zr1 Zr 0.3238 0.6586 0.6863 1
Zr2 Zr 0.3296 0.6610 0.1868 1
Zr3 Zr 0.3338 0.6677 0.9797 1
Zr4 Zr 0.3394 0.6712 0.4804 1
Zr5 Zr 0.6665 0.3324 0.0202 1
Zr6 Zr 0.6692 0.3404 0.8130 1
Si1 Si 0.0016 0.2908 0.7506 1
Si2 Si 0.3727 0.0415 0.4142 1
Si3 Si 0.9953 0.7055 0.2511 1
P1 P 0.0360 0.6666 0.5806 1
P2 P 0.0414 0.3717 0.0827 1
P3 P 0.2882 0.2880 0.2498 1
P4 P 0.2885 0.0002 0.7501 1
P5 P 0.3328 0.9599 0.0849 1
P6 P 0.3344 0.3726 0.5829 1
P7 P 0.3720 0.3311 0.9173 1
P8 P 0.6278 0.6688 0.0828 1
P9 P 0.6302 0.9628 0.5860 1
P10 P 0.6663 0.6198 0.4164 1
P11 P 0.6671 0.0402 0.9147 1
P12 P 0.7117 0.0017 0.2492 1
P13 P 0.7150 0.7146 0.7489 1
P14 P 0.9539 0.3307 0.4180 1
P15 P 0.9589 0.6281 0.9172 1
O1 O 0.0198 0.1961 0.8082 1
O2 O 0.0215 0.8289 0.5870 1
O3 O 0.0228 0.8206 0.3100 1
O4 O 0.0243 0.1933 0.0879 1
O5 O 0.1301 0.4810 0.1375 1
O6 O 0.1340 0.4933 0.4224 1
O7 O 0.1348 0.6492 0.6336 1
O8 O 0.1393 0.6459 0.9215 1
O9 O 0.1397 0.6838 0.5243 1
O10 O 0.1503 0.4636 0.0286 1
O11 O 0.1685 0.4825 0.7452 1
O12 O 0.1716 0.9800 0.0882 1
O13 O 0.1749 0.1920 0.5883 1
O14 O 0.1746 0.6957 0.2456 1
O15 O 0.1775 0.0156 0.4131 1
O16 O 0.1801 0.2023 0.3048 1
O17 O 0.1815 0.9754 0.8052 1
O18 O 0.1938 0.1673 0.9133 1
O19 O 0.1983 0.1776 0.1957 1
O20 O 0.2001 0.0163 0.6950 1
O21 O 0.3133 0.4608 0.5286 1
O22 O 0.3142 0.8457 0.0319 1
O23 O 0.3154 0.4702 0.2451 1
O24 O 0.3199 0.8456 0.7447 1
O25 O 0.3445 0.8452 0.4208 1
O26 O 0.3502 0.4913 0.9214 1
O27 O 0.3510 0.8760 0.1415 1
O28 O 0.3519 0.4817 0.6374 1
O29 O 0.4650 0.2971 0.2545 1
O30 O 0.4647 0.3165 0.9716 1
O31 O 0.4696 0.1623 0.7547 1
O32 O 0.4763 0.1242 0.3536 1
O33 O 0.4759 0.1593 0.4699 1
O34 O 0.4791 0.3498 0.8625 1
O35 O 0.4948 0.1384 0.0785 1
O36 O 0.4979 0.3575 0.5783 1
O37 O 0.5044 0.6367 0.4222 1
O38 O 0.5048 0.8616 0.9210 1
O39 O 0.5201 0.6506 0.1373 1
O40 O 0.5292 0.8476 0.5333 1
O41 O 0.5296 0.8407 0.2449 1
O42 O 0.5298 0.8814 0.6427 1
O43 O 0.5360 0.6844 0.0283 1
O44 O 0.5386 0.7067 0.7438 1
O45 O 0.6471 0.5122 0.3616 1
O46 O 0.6488 0.1243 0.8581 1
O47 O 0.6500 0.1428 0.5788 1
O48 O 0.6496 0.5088 0.0785 1
O49 O 0.6855 0.1543 0.9676 1
O50 O 0.6847 0.1590 0.2540 1
O51 O 0.6858 0.5314 0.7547 1
O52 O 0.6983 0.5366 0.4701 1
O53 O 0.7989 0.9845 0.3043 1
O54 O 0.8039 0.8248 0.8033 1
O55 O 0.8069 0.8321 0.0871 1
O56 O 0.8088 0.9776 0.5872 1
O57 O 0.8194 0.0244 0.1944 1
O58 O 0.8231 0.7971 0.6940 1
O59 O 0.8244 0.3038 0.7547 1
O60 O 0.8260 0.7999 0.4101 1
O61 O 0.8273 0.0190 0.9117 1
O62 O 0.8287 0.5146 0.2548 1
O63 O 0.8491 0.3143 0.4731 1
O64 O 0.8500 0.5358 0.9712 1
O65 O 0.8569 0.5051 0.5782 1
O66 O 0.8609 0.3535 0.0783 1
O67 O 0.8675 0.3600 0.3640 1
O68 O 0.8700 0.5194 0.8623 1
O69 O 0.9697 0.1695 0.4116 1
O70 O 0.9742 0.1693 0.6939 1
O71 O 0.9760 0.8063 0.9123 1
O72 O 0.9811 0.8085 0.1951 1
```

Output
ΔE_f in meV/atom: -3197
Calculated density in g/cm³: 3.642

***

- Look up the calculated density of the second one.
  4.055 g/cm³

***

- The highest ΔE_f belongs to which entry?
  Na8Hf3ZnSi4P2O24

***

- Among the records above, which one has the highest calculated density?
  Na8Hf3ZnSi4P2O24